Compound: Cr3Si
Source: the Materials Project
Functional: r2SCAN
Structure: optimized geometry

Results
Total energy   -13.64 eV/atom
DFT formation energy   -142 meV/atom
Total moment   0.0000 μB/atom
Symmetry   Pm-3n (223)

Lattice parameters (Å, degrees): 4.481 4.481 4.481 90.00 90.00 90.00
Element x y z (fractional)
Cr 0.000 0.500 0.250
Cr 0.000 0.500 0.750
Cr 0.500 0.750 0.000
Cr 0.500 0.250 0.000
Cr 0.750 0.000 0.500
Cr 0.250 0.000 0.500
Si 0.500 0.500 0.500
Si 0.000 0.000 0.000